# 1
First-principles (PBE-GGA) data for a relaxed LaMg6Si crystal, as listed in the Materials Project.

Calculated values
As for the crystal system: orthorhombic. As for the formation energy: -0.0355 eV per atom. As for the distance to the lowest polymorph of the same formula: 0 meV/atom.

Cell and atoms, written as CIF:
```
data_LaMg6Si
_chemical_formula_sum 'La2 Mg12 Si2'
_cell_length_a 4.9002
_cell_length_b 5.9122
_cell_length_c 13.4610
_cell_angle_alpha 90.00
_cell_angle_beta 90.00
_cell_angle_gamma 90.00
_symmetry_space_group_name_H-M 'A m m 2'
_symmetry_Int_Tables_number 38
loop_
_symmetry_equiv_pos_as_xyz
'x,y,z'
'-x,-y,z'
'-x,y,z'
'x,-y,z'
'x,y+1/2,z+1/2'
'-x,-y+1/2,z+1/2'
'-x,y+1/2,z+1/2'
'x,-y+1/2,z+1/2'
loop_
_atom_site_label
_atom_site_fract_x
_atom_site_fract_y
_atom_site_fract_z
La1 0.0000 0.0000 0.0000
Mg1 0.0000 0.2463 0.7432
Mg2 0.5000 0.0000 0.1645
Mg3 0.5000 0.0000 0.5877
Mg4 0.5000 0.2484 0.3753
Si1 0.0000 0.0000 0.4314
```


# 2
First-principles (PBE-GGA) data for a relaxed CuHgSI crystal, as listed in the Materials Project.

Calculated values
As for the crystal system: orthorhombic. As for the formation energy: -0.4249 eV per atom.

Cell and atoms, written as CIF:
```
data_CuHgSI
_chemical_formula_sum 'Cu4 Hg4 S4 I4'
_cell_length_a 7.2102
_cell_length_b 8.5118
_cell_length_c 7.0847
_cell_angle_alpha 90.00
_cell_angle_beta 90.00
_cell_angle_gamma 90.00
_symmetry_space_group_name_H-M 'P n a 21'
_symmetry_Int_Tables_number 33
loop_
_symmetry_equiv_pos_as_xyz
'x,y,z'
'-x,-y,z+1/2'
'-x+1/2,y+1/2,z+1/2'
'x+1/2,-y+1/2,z'
loop_
_atom_site_label
_atom_site_fract_x
_atom_site_fract_y
_atom_site_fract_z
Cu1 0.0814 0.1397 0.0000
Hg1 0.0320 0.5482 0.8885
S1 0.1130 0.6592 0.5795
I1 0.0861 0.1223 0.6140
```


# 3
First-principles (PBE-GGA) data for a relaxed Cs crystal, as listed in the Materials Project.

Calculated values
As for the crystal system: orthorhombic. As for the formation energy: 0.0402 eV per atom. As for the distance to the lowest polymorph of the same formula: 40 meV/atom.

Cell and atoms, written as CIF:
```
data_Cs
_chemical_formula_sum 'Cs4'
_cell_length_a 5.3488
_cell_length_b 9.0933
_cell_length_c 9.4287
_cell_angle_alpha 90.00
_cell_angle_beta 90.00
_cell_angle_gamma 90.00
_symmetry_space_group_name_H-M 'P b c m'
_symmetry_Int_Tables_number 57
loop_
_symmetry_equiv_pos_as_xyz
'x,y,z'
'-x,-y,-z'
'-x,-y,z+1/2'
'x,y,-z+1/2'
'x,-y+1/2,-z'
'-x,y+1/2,z'
'-x,y+1/2,-z+1/2'
'x,-y+1/2,z+1/2'
loop_
_atom_site_label
_atom_site_fract_x
_atom_site_fract_y
_atom_site_fract_z
Cs1 0.2440 0.0911 0.2500
```


# 4
First-principles (PBE-GGA) data for a relaxed Zr2TlC crystal, as listed in the Materials Project.

Calculated values
As for the crystal system: hexagonal. As for the formation energy: -0.6271 eV per atom.

Cell and atoms, written as CIF:
```
data_Zr2TlC
_chemical_formula_sum 'Zr4 Tl2 C2'
_cell_length_a 3.3898
_cell_length_b 3.3898
_cell_length_c 15.1540
_cell_angle_alpha 90.00
_cell_angle_beta 90.00
_cell_angle_gamma 120.00
_symmetry_space_group_name_H-M 'P 63/m m c'
_symmetry_Int_Tables_number 194
_symmetry_space_group_name_Hall '-P 6c 2c'
loop_
_atom_site_label
_atom_site_fract_x
_atom_site_fract_y
_atom_site_fract_z
Zr1 0.3333 0.6667 0.0812
Tl1 0.3333 0.6667 0.7500
C1 0.0000 0.0000 0.0000
```


# 5
First-principles (PBE-GGA) data for a relaxed Sr2ZnGe2O7 crystal, as listed in the Materials Project.

Calculated values
The value obtained for the piezoelectric modulus e_max is 0.22 C/m2. As for the crystal system: tetragonal. As for the formation energy: -2.6016 eV per atom.

Cell and atoms, written as CIF:
```
data_Sr2ZnGe2O7
_chemical_formula_sum 'Sr4 Zn2 Ge4 O14'
_cell_length_a 8.2578
_cell_length_b 8.2578
_cell_length_c 5.4008
_cell_angle_alpha 90.00
_cell_angle_beta 90.00
_cell_angle_gamma 90.00
_symmetry_space_group_name_H-M 'P -4 21 m'
_symmetry_Int_Tables_number 113
loop_
_symmetry_equiv_pos_as_xyz
'x,y,z'
'y,-x,-z'
'-x,-y,z'
'-y,x,-z'
'x+1/2,-y+1/2,-z'
'y+1/2,x+1/2,z'
'-x+1/2,y+1/2,-z'
'-y+1/2,-x+1/2,z'
loop_
_atom_site_label
_atom_site_fract_x
_atom_site_fract_y
_atom_site_fract_z
Sr1 0.1657 0.3343 0.4927
Zn1 0.0000 0.0000 0.0000
Ge1 0.1429 0.6429 0.9529
O1 0.0000 0.5000 0.8170
O2 0.0828 0.8210 0.7925
O3 0.1384 0.6384 0.2749
```


# 6
First-principles (PBE-GGA) data for a relaxed NbFeSi2 crystal, as listed in the Materials Project.

Calculated values
As for the crystal system: orthorhombic. As for the formation energy: -0.5582 eV per atom.

Cell and atoms, written as CIF:
```
data_NbFeSi2
_chemical_formula_sum 'Nb12 Fe12 Si24'
_cell_length_a 8.6960
_cell_length_b 9.6840
_cell_length_c 7.5678
_cell_angle_alpha 90.00
_cell_angle_beta 90.00
_cell_angle_gamma 90.00
_symmetry_space_group_name_H-M 'P b a m'
_symmetry_Int_Tables_number 55
loop_
_symmetry_equiv_pos_as_xyz
'x,y,z'
'-x,-y,-z'
'-x,-y,z'
'x,y,-z'
'x+1/2,-y+1/2,-z'
'-x+1/2,y+1/2,z'
'-x+1/2,y+1/2,-z'
'x+1/2,-y+1/2,z'
loop_
_atom_site_label
_atom_site_fract_x
_atom_site_fract_y
_atom_site_fract_z
Nb1 0.1687 0.1821 0.0000
Nb2 0.1717 0.4515 0.2436
Fe1 0.0000 0.0000 0.2449
Fe2 0.0902 0.7458 0.2495
Si1 0.0394 0.6183 0.0000
Si2 0.0406 0.6217 0.5000
Si3 0.1142 0.8979 0.5000
Si4 0.1212 0.8959 0.0000
Si5 0.1615 0.1803 0.3451
```


# 7
First-principles (PBE-GGA) data for a relaxed Nd2Cu2O5 crystal, as listed in the Materials Project.

Calculated values
As for the crystal system: orthorhombic. As for the formation energy: -2.4543 eV per atom. As for the distance to the lowest polymorph of the same formula: 0 meV/atom.

Cell and atoms, written as CIF:
```
data_Nd2Cu2O5
_chemical_formula_sum 'Nd4 Cu4 O10'
_cell_length_a 5.7247
_cell_length_b 10.1523
_cell_length_c 3.7903
_cell_angle_alpha 90.00
_cell_angle_beta 90.00
_cell_angle_gamma 90.00
_symmetry_space_group_name_H-M 'P b a m'
_symmetry_Int_Tables_number 55
loop_
_symmetry_equiv_pos_as_xyz
'x,y,z'
'-x,-y,-z'
'-x,-y,z'
'x,y,-z'
'x+1/2,-y+1/2,-z'
'-x+1/2,y+1/2,z'
'-x+1/2,y+1/2,-z'
'x+1/2,-y+1/2,z'
loop_
_atom_site_label
_atom_site_fract_x
_atom_site_fract_y
_atom_site_fract_z
Nd1 0.1501 0.1489 0.0000
Cu1 0.1885 0.4052 0.5000
O1 0.0000 0.0000 0.5000
O2 0.0899 0.7072 0.5000
O3 0.2261 0.3986 0.0000
```


# 8
First-principles (PBE-GGA) data for a relaxed FeAg3C6N6 crystal, as listed in the Materials Project.

Calculated values
As for the crystal system: trigonal. As for the formation energy: 0.2760 eV per atom.

Cell and atoms, written as CIF:
```
data_FeAg3C6N6
_chemical_formula_sum 'Fe1 Ag3 C6 N6'
_cell_length_a 7.0115
_cell_length_b 7.0115
_cell_length_c 7.2749
_cell_angle_alpha 90.00
_cell_angle_beta 90.00
_cell_angle_gamma 120.00
_symmetry_space_group_name_H-M 'P -3 1 m'
_symmetry_Int_Tables_number 162
_symmetry_space_group_name_Hall '-P 3 2'
loop_
_atom_site_label
_atom_site_fract_x
_atom_site_fract_y
_atom_site_fract_z
Fe1 0.0000 0.0000 0.0000
Ag1 0.0000 0.5000 0.5000
C1 0.0000 0.2153 0.1580
N1 0.0000 0.3390 0.2665
```